[1]
DFT (PBE with a Hubbard U) results for an optimized crystal structure of MgMn6O4F8.

Structure (CIF):
```
data_MgMn6O4F8
_chemical_formula_sum 'Mg1 Mn6 O4 F8'
_symmetry_space_group_name_H-M 'P 1'
_symmetry_Int_Tables_number 1
_cell_length_a 5.3061
_cell_length_b 7.9645
_cell_length_c 5.7494
_cell_angle_alpha 90.41
_cell_angle_beta 95.59
_cell_angle_gamma 85.49
loop_
_symmetry_equiv_pos_as_xyz
'x,y,z'
loop_
_atom_site_label
_atom_site_fract_x
_atom_site_fract_y
_atom_site_fract_z
Mg1 0.0286 0.8130 0.3673
Mn1 0.5241 0.0180 0.4909
Mn2 0.5624 0.6410 0.2487
Mn3 0.4598 0.3393 0.8008
Mn4 0.8186 0.6202 0.8027
Mn5 0.0168 0.3326 0.2961
Mn6 0.0290 0.9906 0.9325
O1 0.8346 0.7836 0.0376
O2 0.7331 0.7766 0.5402
O3 0.7086 0.4541 0.0276
O4 0.3046 0.2400 0.5345
F1 0.7424 0.4466 0.5493
F2 0.8666 0.0716 0.3060
F3 0.7076 0.1358 0.8021
F4 0.2162 0.5374 0.8140
F5 0.3217 0.8861 0.2023
F6 0.1972 0.5797 0.3294
F7 0.2197 0.2145 0.0233
F8 0.2226 0.8944 0.6553
```

- Excess energy over the best structure of this formula in the dataset: 0 meV/atom

---

[2]
DFT (PBE with a Hubbard U) results for an optimized crystal structure of Fe10O9F11.

Structure (CIF):
```
data_Fe10O9F11
_chemical_formula_sum 'Fe10 O9 F11'
_symmetry_space_group_name_H-M 'P 1'
_symmetry_Int_Tables_number 1
_cell_length_a 4.7508
_cell_length_b 4.7635
_cell_length_c 15.5515
_cell_angle_alpha 90.34
_cell_angle_beta 90.36
_cell_angle_gamma 91.30
loop_
_symmetry_equiv_pos_as_xyz
'x,y,z'
loop_
_atom_site_label
_atom_site_fract_x
_atom_site_fract_y
_atom_site_fract_z
Fe1 0.9989 0.0013 0.0006
Fe2 0.9747 0.9568 0.2063
Fe3 0.0487 0.0022 0.4009
Fe4 0.0432 0.9935 0.5980
Fe5 0.0327 0.0137 0.7940
Fe6 0.5159 0.5085 0.0933
Fe7 0.4632 0.4967 0.4998
Fe8 0.4725 0.5192 0.2978
Fe9 0.4578 0.5031 0.7022
Fe10 0.4904 0.4830 0.9078
O1 0.1870 0.8058 0.3005
O2 0.2020 0.8102 0.4992
O3 0.1942 0.8120 0.6994
O4 0.3077 0.3028 0.0033
O5 0.3143 0.3156 0.3970
O6 0.3082 0.3125 0.6003
O7 0.3108 0.3131 0.8023
O8 0.6970 0.6911 0.9976
O9 0.6778 0.6791 0.2006
F1 0.1910 0.7933 0.1084
F2 0.2011 0.8040 0.8924
F3 0.2862 0.2892 0.2005
F4 0.7007 0.7049 0.4007
F5 0.6993 0.7029 0.5993
F6 0.7036 0.7067 0.7978
F7 0.7991 0.1877 0.1108
F8 0.8101 0.1992 0.4991
F9 0.7993 0.1936 0.3018
F10 0.8071 0.1957 0.8900
F11 0.8053 0.2024 0.6982
```

- Excess energy over the best structure of this formula in the dataset: 0 meV/atom

---

[3]
DFT (PBE with a Hubbard U) results for an optimized crystal structure of RbNa2CrF6.

Structure (CIF):
```
data_RbNa2CrF6
_chemical_formula_sum 'Rb1 Na2 Cr1 F6'
_symmetry_space_group_name_H-M 'P 1'
_symmetry_Int_Tables_number 1
_cell_length_a 6.3768
_cell_length_b 6.3768
_cell_length_c 6.3768
_cell_angle_alpha 60.00
_cell_angle_beta 60.00
_cell_angle_gamma 60.00
loop_
_symmetry_equiv_pos_as_xyz
'x,y,z'
loop_
_atom_site_label
_atom_site_fract_x
_atom_site_fract_y
_atom_site_fract_z
Rb1 0.5000 0.5000 0.5000
Na1 0.2500 0.2500 0.2500
Na2 0.7500 0.7500 0.7500
Cr1 0.0000 0.0000 0.0000
F1 0.2134 0.7866 0.2134
F2 0.7866 0.7866 0.2134
F3 0.7866 0.2134 0.7866
F4 0.7866 0.2134 0.2134
F5 0.2134 0.7866 0.7866
F6 0.2134 0.2134 0.7866
```

---

[4]
DFT (PBE with a Hubbard U) results for an optimized crystal structure of Co2SnC8SeO8.

Structure (CIF):
```
data_Co2SnC8SeO8
_chemical_formula_sum 'Co8 Sn4 C32 Se4 O32'
_symmetry_space_group_name_H-M 'P 1'
_symmetry_Int_Tables_number 1
_cell_length_a 15.5674
_cell_length_b 12.8397
_cell_length_c 12.6449
_cell_angle_alpha 75.30
_cell_angle_beta 52.92
_cell_angle_gamma 51.78
loop_
_symmetry_equiv_pos_as_xyz
'x,y,z'
loop_
_atom_site_label
_atom_site_fract_x
_atom_site_fract_y
_atom_site_fract_z
Co1 0.6481 0.1480 0.3576
Co2 0.8463 0.3576 0.1480
Co3 0.3576 0.8463 0.6481
Co4 0.1480 0.6481 0.8463
Co5 0.6019 0.1020 0.8924
Co6 0.4037 0.8924 0.1020
Co7 0.8924 0.4037 0.6019
Co8 0.1020 0.6019 0.4037
Sn1 0.6373 0.3627 0.3627
Sn2 0.3627 0.6373 0.6373
Sn3 0.6127 0.8873 0.8873
Sn4 0.8873 0.6127 0.6127
C1 0.8225 0.0518 0.2853
C2 0.8405 0.2853 0.0518
C3 0.2853 0.8405 0.8225
C4 0.0518 0.8225 0.8405
C5 0.4275 0.1982 0.9647
C6 0.4095 0.9647 0.1982
C7 0.9647 0.4095 0.4275
C8 0.1982 0.4275 0.4095
C9 0.5371 0.1930 0.5371
C10 0.7328 0.5371 0.1930
C11 0.5371 0.7328 0.5371
C12 0.1930 0.5371 0.7328
C13 0.7129 0.0570 0.7129
C14 0.5172 0.7129 0.0570
C15 0.7129 0.5172 0.7129
C16 0.0570 0.7129 0.5172
C17 0.5831 0.2379 0.2619
C18 0.9170 0.2619 0.2379
C19 0.2619 0.9170 0.5831
C20 0.2379 0.5831 0.9170
C21 0.6669 0.0121 0.9881
C22 0.3330 0.9881 0.0121
C23 0.9881 0.3330 0.6669
C24 0.0121 0.6669 0.3330
C25 0.6496 0.0111 0.3494
C26 0.9899 0.3494 0.0111
C27 0.3494 0.9899 0.6496
C28 0.0111 0.6496 0.9899
C29 0.6004 0.2389 0.9006
C30 0.2601 0.9006 0.2389
C31 0.9006 0.2601 0.6004
C32 0.2389 0.6004 0.2601
Se1 0.4123 0.5877 0.4123
Se2 0.5877 0.4123 0.5877
Se3 0.8377 0.6623 0.8377
Se4 0.6623 0.8377 0.6623
O1 0.9365 0.9854 0.2380
O2 0.8401 0.2380 0.9854
O3 0.2380 0.8401 0.9365
O4 0.9854 0.9365 0.8401
O5 0.3135 0.2646 0.0120
O6 0.4099 0.0120 0.2646
O7 0.0120 0.4099 0.3135
O8 0.2646 0.3135 0.4099
O9 0.4667 0.2133 0.6539
O10 0.6661 0.6539 0.2133
O11 0.6539 0.6661 0.4667
O12 0.2133 0.4667 0.6661
O13 0.7833 0.0367 0.5961
O14 0.5839 0.5961 0.0367
O15 0.5961 0.5839 0.7833
O16 0.0367 0.7833 0.5839
O17 0.5387 0.2925 0.2004
O18 0.9684 0.2004 0.2925
O19 0.2004 0.9684 0.5387
O20 0.2925 0.5387 0.9684
O21 0.7113 0.9575 0.0496
O22 0.2816 0.0496 0.9575
O23 0.0496 0.2816 0.7113
O24 0.9575 0.7113 0.2816
O25 0.6492 0.9227 0.3446
O26 0.0834 0.3446 0.9227
O27 0.3446 0.0834 0.6492
O28 0.9227 0.6492 0.0834
O29 0.6008 0.3273 0.9054
O30 0.1666 0.9054 0.3273
O31 0.9054 0.1666 0.6008
O32 0.3273 0.6008 0.1666
```

---

[5]
DFT (PBE with a Hubbard U) results for an optimized crystal structure of Mg6FeBO8.

Structure (CIF):
```
data_Mg6FeBO8
_chemical_formula_sum 'Mg6 Fe1 B1 O8'
_symmetry_space_group_name_H-M 'P 1'
_symmetry_Int_Tables_number 1
_cell_length_a 8.5731
_cell_length_b 4.2221
_cell_length_c 4.2221
_cell_angle_alpha 90.00
_cell_angle_beta 90.00
_cell_angle_gamma 90.00
loop_
_symmetry_equiv_pos_as_xyz
'x,y,z'
loop_
_atom_site_label
_atom_site_fract_x
_atom_site_fract_y
_atom_site_fract_z
Mg1 0.5000 0.0000 0.0000
Mg2 0.5000 0.5000 0.5000
Mg3 0.2470 0.0000 0.5000
Mg4 0.7530 0.0000 0.5000
Mg5 0.2470 0.5000 0.0000
Mg6 0.7530 0.5000 0.0000
Fe1 0.0000 0.0000 0.0000
B1 0.0000 0.5000 0.5000
O1 0.2546 0.0000 0.0000
O2 0.7454 0.0000 0.0000
O3 0.2456 0.5000 0.5000
O4 0.7544 0.5000 0.5000
O5 0.0000 0.0000 0.5000
O6 0.5000 0.0000 0.5000
O7 0.0000 0.5000 0.0000
O8 0.5000 0.5000 0.0000
```

- Excess energy over the best structure of this formula in the dataset: 83 meV/atom

---

[6]
DFT (PBE with a Hubbard U) results for an optimized crystal structure of MnAl2Sb2P6O24.

Structure (CIF):
```
data_MnAl2Sb2P6O24
_chemical_formula_sum 'Mn2 Al4 Sb4 P12 O48'
_symmetry_space_group_name_H-M 'P 1'
_symmetry_Int_Tables_number 1
_cell_length_a 8.5537
_cell_length_b 8.6273
_cell_length_c 12.1383
_cell_angle_alpha 89.39
_cell_angle_beta 90.00
_cell_angle_gamma 90.00
loop_
_symmetry_equiv_pos_as_xyz
'x,y,z'
loop_
_atom_site_label
_atom_site_fract_x
_atom_site_fract_y
_atom_site_fract_z
Mn1 0.5000 0.5000 0.0000
Mn2 0.0000 0.0000 0.0000
Al1 0.5011 0.2104 0.8581
Al2 0.0011 0.2896 0.1419
Al3 0.4989 0.7896 0.1419
Al4 0.9989 0.7104 0.8581
Sb1 0.4992 0.7838 0.6437
Sb2 0.9992 0.7162 0.3563
Sb3 0.0008 0.2838 0.6437
Sb4 0.5008 0.2162 0.3563
P1 0.3583 0.8512 0.3901
P2 0.2889 0.5032 0.7574
P3 0.1417 0.3512 0.3901
P4 0.8530 0.3592 0.8999
P5 0.3530 0.1408 0.1001
P6 0.7889 0.9968 0.2426
P7 0.2111 0.0032 0.7574
P8 0.6470 0.8592 0.8999
P9 0.1470 0.6408 0.1001
P10 0.8583 0.6488 0.6099
P11 0.7111 0.4968 0.2426
P12 0.6417 0.1488 0.6099
O1 0.3032 0.8910 0.6811
O2 0.1787 0.8411 0.4021
O3 0.4319 0.7634 0.4890
O4 0.4233 0.7849 0.2854
O5 0.3925 0.5869 0.6698
O6 0.1144 0.5286 0.4015
O7 0.3962 0.4145 0.8386
O8 0.1060 0.4702 0.1013
O9 0.1968 0.3910 0.6811
O10 0.8162 0.3895 0.1789
O11 0.3213 0.3411 0.4021
O12 0.6720 0.3461 0.9065
O13 0.0681 0.2634 0.4890
O14 0.0767 0.2849 0.2854
O15 0.9295 0.2607 0.9930
O16 0.9169 0.2746 0.7950
O17 0.4169 0.2254 0.2050
O18 0.4295 0.2393 0.0070
O19 0.1720 0.1539 0.0935
O20 0.8962 0.0855 0.1614
O21 0.3162 0.1105 0.8211
O22 0.3856 0.0286 0.4015
O23 0.1075 0.0869 0.6698
O24 0.6060 0.0298 0.8987
O25 0.3940 0.9702 0.1013
O26 0.8925 0.9131 0.3302
O27 0.6144 0.9714 0.5985
O28 0.6838 0.8895 0.1789
O29 0.1038 0.9145 0.8386
O30 0.8280 0.8461 0.9065
O31 0.5705 0.7607 0.9930
O32 0.5831 0.7746 0.7950
O33 0.0831 0.7254 0.2050
O34 0.0705 0.7393 0.0070
O35 0.9233 0.7151 0.7146
O36 0.9319 0.7366 0.5110
O37 0.3280 0.6539 0.0935
O38 0.6787 0.6589 0.5979
O39 0.1838 0.6105 0.8211
O40 0.8032 0.6090 0.3189
O41 0.8940 0.5298 0.8987
O42 0.6038 0.5855 0.1614
O43 0.8856 0.4714 0.5985
O44 0.6075 0.4131 0.3302
O45 0.5767 0.2151 0.7146
O46 0.5681 0.2366 0.5110
O47 0.8213 0.1589 0.5979
O48 0.6968 0.1090 0.3189
```

- Excess energy over the best structure of this formula in the dataset: 4 meV/atom

---

[7]
DFT (PBE with a Hubbard U) results for an optimized crystal structure of MgV4O10.

Structure (CIF):
```
data_MgV4O10
_chemical_formula_sum 'Mg1 V4 O10'
_symmetry_space_group_name_H-M 'P 1'
_symmetry_Int_Tables_number 1
_cell_length_a 3.5387
_cell_length_b 4.9592
_cell_length_c 11.5759
_cell_angle_alpha 90.02
_cell_angle_beta 90.00
_cell_angle_gamma 90.00
loop_
_symmetry_equiv_pos_as_xyz
'x,y,z'
loop_
_atom_site_label
_atom_site_fract_x
_atom_site_fract_y
_atom_site_fract_z
Mg1 0.2500 0.1895 0.7499
V1 0.2500 0.4110 0.1015
V2 0.7500 0.6054 0.8992
V3 0.7500 0.6055 0.6008
V4 0.2500 0.4112 0.3985
O1 0.7500 0.4180 0.7500
O2 0.2500 0.5261 0.2500
O3 0.7500 0.5306 0.0700
O4 0.2500 0.4515 0.9230
O5 0.7500 0.5308 0.4301
O6 0.2500 0.4517 0.5770
O7 0.2500 0.0877 0.3886
O8 0.7500 0.9349 0.6345
O9 0.7500 0.9348 0.8656
O10 0.2500 0.0875 0.1114
```

- Excess energy over the best structure of this formula in the dataset: 69 meV/atom

---

[8]
DFT (PBE with a Hubbard U) results for an optimized crystal structure of Li2Fe3SnO8.

Structure (CIF):
```
data_Li2Fe3SnO8
_chemical_formula_sum 'Li4 Fe6 Sn2 O16'
_symmetry_space_group_name_H-M 'P 1'
_symmetry_Int_Tables_number 1
_cell_length_a 5.9593
_cell_length_b 10.1887
_cell_length_c 6.0971
_cell_angle_alpha 106.07
_cell_angle_beta 60.52
_cell_angle_gamma 89.38
loop_
_symmetry_equiv_pos_as_xyz
'x,y,z'
loop_
_atom_site_label
_atom_site_fract_x
_atom_site_fract_y
_atom_site_fract_z
Li1 0.3133 0.5642 0.3649
Li2 0.8213 0.0639 0.3632
Li3 0.1871 0.9359 0.6343
Li4 0.6787 0.4361 0.6374
Fe1 0.2502 0.7503 0.9997
Fe2 0.7500 0.7500 0.9996
Fe3 0.9936 0.4991 0.0011
Fe4 0.7499 0.2499 0.0002
Fe5 0.2498 0.2501 0.0005
Fe6 0.5062 0.0007 0.9992
Sn1 0.7500 0.7497 0.4999
Sn2 0.2499 0.2503 0.5003
O1 0.0868 0.6339 0.7981
O2 0.6045 0.1345 0.8025
O3 0.4131 0.8666 0.2014
O4 0.8958 0.3648 0.1980
O5 0.8755 0.8596 0.2264
O6 0.4065 0.3612 0.2315
O7 0.1104 0.6221 0.2254
O8 0.6230 0.1277 0.2197
O9 0.6519 0.6317 0.2262
O10 0.1611 0.1293 0.2268
O11 0.8489 0.8678 0.7727
O12 0.3380 0.3715 0.7746
O13 0.3894 0.8772 0.7739
O14 0.8771 0.3727 0.7802
O15 0.6242 0.6404 0.7738
O16 0.0940 0.1389 0.7686
```

- Excess energy over the best structure of this formula in the dataset: 47 meV/atom

---

[9]
DFT (PBE with a Hubbard U) results for an optimized crystal structure of KNiTeO6.

Structure (CIF):
```
data_KNiTeO6
_chemical_formula_sum 'K1 Ni1 Te1 O6'
_symmetry_space_group_name_H-M 'P 1'
_symmetry_Int_Tables_number 1
_cell_length_a 5.0446
_cell_length_b 5.0446
_cell_length_c 6.1701
_cell_angle_alpha 90.00
_cell_angle_beta 90.00
_cell_angle_gamma 120.00
loop_
_symmetry_equiv_pos_as_xyz
'x,y,z'
loop_
_atom_site_label
_atom_site_fract_x
_atom_site_fract_y
_atom_site_fract_z
K1 0.0000 0.0000 0.0000
Ni1 0.3333 0.6667 0.5000
Te1 0.6667 0.3333 0.5000
O1 0.3712 0.9887 0.6765
O2 0.0113 0.3825 0.6765
O3 0.6175 0.6288 0.6765
O4 0.0113 0.6288 0.3235
O5 0.6175 0.9887 0.3235
O6 0.3712 0.3825 0.3235
```

---

[10]
DFT (PBE with a Hubbard U) results for an optimized crystal structure of La7SmCo6Ag2O24.

Structure (CIF):
```
data_La7SmCo6Ag2O24
_chemical_formula_sum 'La7 Sm1 Co6 Ag2 O24'
_symmetry_space_group_name_H-M 'P 1'
_symmetry_Int_Tables_number 1
_cell_length_a 7.7870
_cell_length_b 7.8854
_cell_length_c 7.7870
_cell_angle_alpha 89.99
_cell_angle_beta 89.93
_cell_angle_gamma 90.01
loop_
_symmetry_equiv_pos_as_xyz
'x,y,z'
loop_
_atom_site_label
_atom_site_fract_x
_atom_site_fract_y
_atom_site_fract_z
La1 0.2503 0.2441 0.2503
La2 0.2502 0.2426 0.7498
La3 0.2503 0.7573 0.2503
La4 0.2502 0.7565 0.7498
La5 0.7497 0.2441 0.7497
La6 0.7498 0.7576 0.2502
La7 0.7497 0.7573 0.7497
Sm1 0.7498 0.2393 0.2502
Co1 0.9994 0.0009 0.0006
Co2 0.0000 0.0007 0.5000
Co3 0.9992 0.4996 0.0008
Co4 0.5000 0.0007 0.0000
Co5 0.5006 0.0008 0.4994
Co6 0.5008 0.4996 0.4992
Ag1 0.0001 0.5002 0.5001
Ag2 0.4999 0.5002 0.9999
O1 0.2526 0.0006 0.0006
O2 0.2469 0.0004 0.5005
O3 0.2362 0.4994 0.0003
O4 0.2637 0.4994 0.4997
O5 0.7472 0.0022 0.0019
O6 0.7533 0.0024 0.4970
O7 0.7631 0.4968 0.0020
O8 0.7369 0.4969 0.4980
O9 0.9975 0.2546 0.0025
O10 0.9951 0.2375 0.4952
O11 0.9998 0.7455 0.0002
O12 0.9989 0.7633 0.4988
O13 0.5048 0.2375 0.0049
O14 0.5022 0.2551 0.4978
O15 0.5012 0.7633 0.0011
O16 0.5003 0.7452 0.4997
O17 0.9981 0.0022 0.2528
O18 0.9994 0.0006 0.7474
O19 0.9980 0.4968 0.2369
O20 0.9997 0.4994 0.7638
O21 0.5030 0.0024 0.2467
O22 0.4995 0.0004 0.7531
O23 0.5020 0.4969 0.2631
O24 0.5003 0.4994 0.7363
```

---

[11]
DFT (PBE with a Hubbard U) results for an optimized crystal structure of MgCoO2.

Structure (CIF):
```
data_MgCoO2
_chemical_formula_sum 'Mg1 Co1 O2'
_symmetry_space_group_name_H-M 'P 1'
_symmetry_Int_Tables_number 1
_cell_length_a 2.9697
_cell_length_b 2.9697
_cell_length_c 5.4950
_cell_angle_alpha 73.77
_cell_angle_beta 73.77
_cell_angle_gamma 60.15
loop_
_symmetry_equiv_pos_as_xyz
'x,y,z'
loop_
_atom_site_label
_atom_site_fract_x
_atom_site_fract_y
_atom_site_fract_z
Mg1 0.1667 0.1667 0.4907
Co1 0.0006 0.0006 0.9988
O1 0.5856 0.5856 0.2483
O2 0.4137 0.4137 0.7496
```

---

[12]
DFT (PBE with a Hubbard U) results for an optimized crystal structure of Li4Ti3Cr3Fe2O16.

Structure (CIF):
```
data_Li4Ti3Cr3Fe2O16
_chemical_formula_sum 'Li4 Ti3 Cr3 Fe2 O16'
_symmetry_space_group_name_H-M 'P 1'
_symmetry_Int_Tables_number 1
_cell_length_a 5.9124
_cell_length_b 5.9163
_cell_length_c 9.5989
_cell_angle_alpha 89.97
_cell_angle_beta 90.35
_cell_angle_gamma 119.83
loop_
_symmetry_equiv_pos_as_xyz
'x,y,z'
loop_
_atom_site_label
_atom_site_fract_x
_atom_site_fract_y
_atom_site_fract_z
Li1 0.6626 0.3292 0.8927
Li2 0.9982 0.0043 0.9949
Li3 0.9996 0.9991 0.4973
Li4 0.3329 0.6680 0.3958
Ti1 0.1664 0.8200 0.7197
Ti2 0.8326 0.6609 0.2148
Ti3 0.3397 0.1682 0.2155
Cr1 0.8300 0.1707 0.2131
Cr2 0.6604 0.8308 0.7138
Cr3 0.1722 0.3342 0.7099
Fe1 0.6728 0.3404 0.4914
Fe2 0.3370 0.6624 0.9907
O1 0.8424 0.6742 0.5999
O2 0.5189 0.4835 0.3344
O3 0.6609 0.3381 0.1033
O4 0.0025 0.9998 0.3106
O5 0.0050 0.0000 0.8093
O6 0.3277 0.1707 0.6036
O7 0.9617 0.4885 0.3381
O8 0.5144 0.0414 0.3393
O9 0.1637 0.8345 0.1026
O10 0.8493 0.1742 0.6044
O11 0.4738 0.9592 0.8403
O12 0.0350 0.5133 0.8347
O13 0.3268 0.6680 0.6035
O14 0.6752 0.8306 0.1002
O15 0.4694 0.5101 0.8331
O16 0.1691 0.3258 0.1011
```

---

no.,calculated formation energy (eV/atom),spin magnetization (μB/f.u.)
1,-2.62,28.00
2,-2.09,49.00
3,-2.85,3.00
4,-0.78,0.00
5,-2.34,4.11
6,-2.63,5.00
7,-2.42,2.00
8,-1.81,4.85
9,-1.21,1.00
10,-2.34,10.31
11,-1.95,3.00
12,-2.58,18.00